1.
A plane-wave DFT calculation with PBE+U was carried out for a relaxed NaMn6P7O24 crystal.

Unit cell a=5.440 b=27.065 c=6.653 alpha=90.00 beta=107.38 gamma=90.00
Fractional coordinates of all 76 atoms:
Na (0.221, 0.250, 0.430)
Na (0.779, 0.750, 0.570)
Mn (0.127, 0.683, 0.279)
Mn (0.127, 0.817, 0.279)
Mn (0.187, 0.545, 0.686)
Mn (0.187, 0.955, 0.686)
Mn (0.208, 0.098, 0.087)
Mn (0.208, 0.402, 0.087)
Mn (0.792, 0.598, 0.913)
Mn (0.792, 0.902, 0.913)
Mn (0.813, 0.045, 0.314)
Mn (0.813, 0.455, 0.314)
Mn (0.873, 0.183, 0.721)
Mn (0.873, 0.317, 0.721)
P (0.249, 0.668, 0.807)
P (0.249, 0.832, 0.807)
P (0.292, 0.525, 0.205)
P (0.292, 0.975, 0.205)
P (0.315, 0.110, 0.617)
P (0.315, 0.390, 0.617)
P (0.458, 0.250, 0.913)
P (0.542, 0.750, 0.087)
P (0.685, 0.610, 0.383)
P (0.685, 0.890, 0.383)
P (0.708, 0.025, 0.795)
P (0.708, 0.475, 0.795)
P (0.751, 0.168, 0.193)
P (0.751, 0.332, 0.193)
O (0.070, 0.665, 0.947)
O (0.070, 0.835, 0.947)
O (0.123, 0.694, 0.599)
O (0.123, 0.806, 0.599)
O (0.129, 0.548, 0.997)
O (0.129, 0.952, 0.997)
O (0.142, 0.095, 0.397)
O (0.142, 0.405, 0.397)
O (0.145, 0.522, 0.369)
O (0.145, 0.978, 0.369)
O (0.153, 0.122, 0.766)
O (0.153, 0.378, 0.766)
O (0.174, 0.250, 0.789)
O (0.358, 0.750, 0.221)
O (0.390, 0.620, 0.792)
O (0.390, 0.880, 0.792)
O (0.412, 0.025, 0.176)
O (0.412, 0.475, 0.176)
O (0.456, 0.059, 0.711)
O (0.456, 0.441, 0.711)
O (0.493, 0.650, 0.388)
O (0.493, 0.850, 0.388)
O (0.496, 0.704, 0.934)
O (0.496, 0.796, 0.934)
O (0.504, 0.204, 0.066)
O (0.504, 0.296, 0.066)
O (0.507, 0.150, 0.612)
O (0.507, 0.350, 0.612)
O (0.544, 0.559, 0.289)
O (0.544, 0.941, 0.289)
O (0.588, 0.525, 0.824)
O (0.588, 0.975, 0.824)
O (0.610, 0.120, 0.208)
O (0.610, 0.380, 0.208)
O (0.642, 0.250, 0.779)
O (0.826, 0.750, 0.211)
O (0.847, 0.622, 0.234)
O (0.847, 0.878, 0.234)
O (0.855, 0.022, 0.631)
O (0.855, 0.478, 0.631)
O (0.858, 0.595, 0.603)
O (0.858, 0.905, 0.603)
O (0.871, 0.048, 0.003)
O (0.871, 0.452, 0.003)
O (0.877, 0.194, 0.401)
O (0.877, 0.306, 0.401)
O (0.930, 0.165, 0.053)
O (0.930, 0.335, 0.053)

**Energy relative to the elements**: -2.593 eV per atom
**Space-group type**: P2_1/m, No. 11
**Total magnetic moment**: 30.000 μB per formula unit
**Calculated volume**: 12.30 A^3/atom

2.
A plane-wave DFT calculation with PBE+U was carried out for a relaxed NaMn2P2O9 crystal.

Unit cell a=14.076 b=6.424 c=7.499 alpha=90.00 beta=90.00 gamma=90.00
Fractional coordinates of all 56 atoms:
Na (0.217, 0.250, 0.102)
Na (0.283, 0.750, 0.602)
Na (0.717, 0.250, 0.398)
Na (0.783, 0.750, 0.898)
Mn (0.000, 0.000, 0.000)
Mn (0.000, 0.500, 0.000)
Mn (0.123, 0.250, 0.646)
Mn (0.377, 0.750, 0.146)
Mn (0.500, 0.000, 0.500)
Mn (0.500, 0.500, 0.500)
Mn (0.623, 0.250, 0.854)
Mn (0.877, 0.750, 0.354)
P (0.066, 0.750, 0.631)
P (0.190, 0.750, 0.101)
P (0.310, 0.250, 0.601)
P (0.434, 0.250, 0.131)
P (0.566, 0.750, 0.869)
P (0.690, 0.750, 0.399)
P (0.810, 0.250, 0.899)
P (0.934, 0.250, 0.369)
O (0.006, 0.250, 0.519)
O (0.015, 0.750, 0.818)
O (0.054, 0.250, 0.872)
O (0.127, 0.553, 0.096)
O (0.127, 0.947, 0.096)
O (0.133, 0.560, 0.624)
O (0.133, 0.940, 0.624)
O (0.231, 0.250, 0.456)
O (0.246, 0.250, 0.772)
O (0.254, 0.750, 0.272)
O (0.269, 0.750, 0.956)
O (0.367, 0.060, 0.124)
O (0.367, 0.440, 0.124)
O (0.373, 0.053, 0.596)
O (0.373, 0.447, 0.596)
O (0.446, 0.750, 0.372)
O (0.485, 0.250, 0.318)
O (0.494, 0.750, 0.019)
O (0.506, 0.250, 0.981)
O (0.515, 0.750, 0.682)
O (0.554, 0.250, 0.628)
O (0.627, 0.553, 0.404)
O (0.627, 0.947, 0.404)
O (0.633, 0.560, 0.876)
O (0.633, 0.940, 0.876)
O (0.731, 0.250, 0.044)
O (0.746, 0.250, 0.728)
O (0.754, 0.750, 0.228)
O (0.769, 0.750, 0.544)
O (0.867, 0.060, 0.376)
O (0.867, 0.440, 0.376)
O (0.873, 0.053, 0.904)
O (0.873, 0.447, 0.904)
O (0.946, 0.750, 0.128)
O (0.985, 0.250, 0.182)
O (0.994, 0.750, 0.481)

**Energy relative to the elements**: -2.379 eV per atom
**Space-group type**: Pnma, No. 62
**Total magnetic moment**: 7.002 μB per formula unit
**Calculated volume**: 12.11 A^3/atom